{"formula": "LaGa2Rh3", "functional": "r2SCAN", "state": "optimized geometry", "ef_mev_per_atom": -881, "space_group": "P6/mmm", "magnetic_moment_mub_per_fu": 0.0, "lattice": [[-2.919, -2.368, 4.254], [2.329, -3.273, -4.011], [3.163, -0.243, 2.035]], "species": ["La", "Ga", "Ga", "Rh", "Rh", "Rh"], "fractional_positions": [[0.000, 0.000, 0.000], [0.333, 0.667, 0.000], [0.667, 0.333, 0.000], [0.500, 0.000, 0.500], [0.000, 0.500, 0.500], [0.500, 0.500, 0.500]]}

***

{"formula": "La2Ga9Ru3", "functional": "r2SCAN", "state": "optimized geometry", "ef_mev_per_atom": -572, "space_group": "Cmcm", "magnetic_moment_mub_per_fu": 0.0, "lattice": [[-5.980, 1.058, -4.418], [0.927, -6.700, 3.263], [-5.252, 3.097, 7.852]], "species": ["La", "La", "La", "La", "Ga", "Ga", "Ga", "Ga", "Ga", "Ga", "Ga", "Ga", "Ga", "Ga", "Ga", "Ga", "Ga", "Ga", "Ga", "Ga", "Ga", "Ga", "Ru", "Ru", "Ru", "Ru", "Ru", "Ru"], "fractional_positions": [[0.999, 0.675, 0.250], [0.001, 0.325, 0.750], [0.675, 0.999, 0.250], [0.325, 0.001, 0.750], [0.140, 0.140, 0.250], [0.860, 0.860, 0.750], [0.015, 0.339, 0.071], [0.985, 0.661, 0.929], [0.985, 0.661, 0.571], [0.339, 0.015, 0.429], [0.015, 0.339, 0.429], [0.661, 0.985, 0.571], [0.661, 0.985, 0.929], [0.339, 0.015, 0.071], [0.342, 0.342, 0.554], [0.658, 0.658, 0.446], [0.658, 0.658, 0.054], [0.342, 0.342, 0.946], [0.339, 0.547, 0.250], [0.661, 0.453, 0.750], [0.547, 0.339, 0.250], [0.453, 0.661, 0.750], [0.675, 0.325, 0.000], [0.325, 0.675, 0.000], [0.325, 0.675, 0.500], [0.675, 0.325, 0.500], [0.000, 0.000, 0.000], [0.000, 0.000, 0.500]]}

***

{"formula": "La4GaSi3", "functional": "r2SCAN", "state": "optimized geometry", "ef_mev_per_atom": -796, "space_group": "Pmm2", "magnetic_moment_mub_per_fu": 2.2, "lattice": [[-1.286, -3.169, 2.214], [1.783, -2.859, -3.056], [9.871, 0.011, 5.749]], "species": ["La", "La", "La", "La", "Ga", "Si", "Si", "Si"], "fractional_positions": [[0.000, 0.000, 0.360], [0.000, 0.500, 0.856], [0.500, 0.500, 0.143], [0.500, 0.000, 0.643], [0.000, 0.000, 0.066], [0.000, 0.500, 0.566], [0.500, 0.500, 0.435], [0.500, 0.000, 0.932]]}

***

{"formula": "LaGaSi", "functional": "r2SCAN", "state": "optimized geometry", "ef_mev_per_atom": -814, "space_group": "I4_1md", "magnetic_moment_mub_per_fu": 0.0, "lattice": [[5.070, 4.144, 4.250], [0.923, 1.206, 7.657], [-1.144, -5.105, -5.794]], "species": ["La", "La", "Ga", "Ga", "Si", "Si"], "fractional_positions": [[0.625, 0.125, 0.500], [0.875, 0.875, 0.000], [0.042, 0.542, 0.500], [0.292, 0.292, 0.000], [0.459, 0.459, 0.000], [0.209, 0.709, 0.500]]}

***

{"formula": "LaZnGa", "functional": "r2SCAN", "state": "optimized geometry", "ef_mev_per_atom": -609, "space_group": "P6_3/mmc", "magnetic_moment_mub_per_fu": 0.0, "lattice": [[-2.155, -3.860, 0.797], [4.476, 0.183, 0.330], [-0.654, 1.970, 7.775]], "species": ["La", "La", "Zn", "Zn", "Ga", "Ga"], "fractional_positions": [[0.000, 0.000, 0.500], [0.000, 0.000, 0.000], [0.333, 0.667, 0.750], [0.667, 0.333, 0.250], [0.333, 0.667, 0.250], [0.667, 0.333, 0.750]]}

***

{"formula": "LiGa3", "functional": "r2SCAN", "state": "optimized geometry", "ef_mev_per_atom": -158, "space_group": "I4/mmm", "magnetic_moment_mub_per_fu": 0.0, "lattice": [[3.198, -3.501, 1.418], [-1.636, -2.330, 4.048], [-2.116, 1.041, -4.352]], "species": ["Li", "Ga", "Ga", "Ga"], "fractional_positions": [[0.000, 0.000, 0.000], [0.750, 0.250, 0.500], [0.250, 0.750, 0.500], [0.500, 0.500, 0.000]]}

***

{"formula": "Li3Ga7", "functional": "r2SCAN", "state": "optimized geometry", "ef_mev_per_atom": -254, "space_group": "R-3m", "magnetic_moment_mub_per_fu": 0.0, "lattice": [[-6.949, 2.390, 1.394], [-3.013, -3.595, 5.827], [-0.229, 4.352, 6.079]], "species": ["Li", "Li", "Li", "Li", "Li", "Li", "Ga", "Ga", "Ga", "Ga", "Ga", "Ga", "Ga", "Ga", "Ga", "Ga", "Ga", "Ga", "Ga", "Ga"], "fractional_positions": [[0.477, 0.881, 0.881], [0.881, 0.477, 0.881], [0.119, 0.523, 0.119], [0.881, 0.881, 0.477], [0.119, 0.119, 0.523], [0.523, 0.119, 0.119], [0.174, 0.491, 0.491], [0.183, 0.704, 0.704], [0.296, 0.296, 0.817], [0.826, 0.509, 0.509], [0.704, 0.704, 0.183], [0.509, 0.826, 0.509], [0.817, 0.296, 0.296], [0.078, 0.078, 0.078], [0.509, 0.509, 0.826], [0.296, 0.817, 0.296], [0.491, 0.174, 0.491], [0.704, 0.183, 0.704], [0.491, 0.491, 0.174], [0.922, 0.922, 0.922]]}

***

{"formula": "Li2Ga7", "functional": "r2SCAN", "state": "optimized geometry", "ef_mev_per_atom": -240, "space_group": "Cm", "magnetic_moment_mub_per_fu": 0.0, "lattice": [[4.933, 0.628, 5.428], [-2.545, -3.103, 6.187], [3.322, -6.466, 1.245]], "species": ["Li", "Li", "Li", "Li", "Ga", "Ga", "Ga", "Ga", "Ga", "Ga", "Ga", "Ga", "Ga", "Ga", "Ga", "Ga", "Ga", "Ga"], "fractional_positions": [[0.520, 0.117, 0.117], [0.889, 0.885, 0.478], [0.889, 0.478, 0.885], [0.460, 0.883, 0.883], [0.710, 0.698, 0.184], [0.710, 0.184, 0.698], [0.187, 0.704, 0.704], [0.295, 0.299, 0.811], [0.295, 0.811, 0.299], [0.817, 0.298, 0.298], [0.487, 0.490, 0.175], [0.487, 0.175, 0.490], [0.171, 0.487, 0.487], [0.510, 0.506, 0.826], [0.510, 0.826, 0.506], [0.826, 0.510, 0.510], [0.077, 0.079, 0.079], [0.926, 0.919, 0.919]]}

***

{"formula": "Li5Ga4", "functional": "r2SCAN", "state": "optimized geometry", "ef_mev_per_atom": -385, "space_group": "P-3m1", "magnetic_moment_mub_per_fu": 0.0, "lattice": [[-1.265, 2.133, -3.530], [3.259, 1.517, 2.385], [5.325, -4.329, -4.524]], "species": ["Li", "Li", "Li", "Li", "Li", "Ga", "Ga", "Ga", "Ga"], "fractional_positions": [[0.667, 0.333, 0.881], [0.333, 0.667, 0.119], [0.667, 0.333, 0.553], [0.333, 0.667, 0.447], [0.000, 0.000, 0.000], [0.667, 0.333, 0.222], [0.333, 0.667, 0.778], [0.000, 0.000, 0.667], [0.000, 0.000, 0.333]]}

***

{"formula": "Li3Ga2", "functional": "r2SCAN", "state": "optimized geometry", "ef_mev_per_atom": -369, "space_group": "R-3m", "magnetic_moment_mub_per_fu": 0.0, "lattice": [[3.922, -0.002, 3.415], [1.553, 3.601, 3.415], [-0.003, -0.002, 5.200]], "species": ["Li", "Li", "Li", "Ga", "Ga"], "fractional_positions": [[0.596, 0.596, 0.596], [0.404, 0.404, 0.404], [0.000, 0.000, 0.000], [0.200, 0.200, 0.200], [0.800, 0.800, 0.800]]}

***

{"formula": "LiGa3", "functional": "r2SCAN", "state": "optimized geometry", "ef_mev_per_atom": -149, "space_group": "P6_3/mmc", "magnetic_moment_mub_per_fu": 0.0, "lattice": [[2.809, -4.865, 0.000], [2.809, 4.865, 0.000], [0.000, 0.000, 4.752]], "species": ["Li", "Li", "Ga", "Ga", "Ga", "Ga", "Ga", "Ga"], "fractional_positions": [[0.667, 0.333, 0.250], [0.333, 0.667, 0.750], [0.833, 0.167, 0.750], [0.334, 0.167, 0.750], [0.833, 0.666, 0.750], [0.167, 0.833, 0.250], [0.666, 0.833, 0.250], [0.167, 0.334, 0.250]]}

***

{"formula": "LiGa", "functional": "r2SCAN", "state": "optimized geometry", "ef_mev_per_atom": -380, "space_group": "Fd-3m", "magnetic_moment_mub_per_fu": 0.0, "lattice": [[-3.947, -0.863, 1.632], [-0.374, -2.036, 3.834], [-1.437, 2.175, 3.491]], "species": ["Li", "Li", "Ga", "Ga"], "fractional_positions": [[0.625, 0.625, 0.625], [0.375, 0.375, 0.375], [0.125, 0.125, 0.125], [0.875, 0.875, 0.875]]}

***

{"formula": "Li2Ga", "functional": "r2SCAN", "state": "optimized geometry", "ef_mev_per_atom": -336, "space_group": "Cmcm", "magnetic_moment_mub_per_fu": 0.0, "lattice": [[-1.944, 2.855, 2.577], [-2.466, -3.295, 1.790], [4.518, 0.953, 2.352]], "species": ["Li", "Li", "Li", "Li", "Ga", "Ga"], "fractional_positions": [[0.250, 0.582, 0.164], [0.750, 0.418, 0.836], [0.750, 0.759, 0.519], [0.250, 0.241, 0.481], [0.250, 0.923, 0.845], [0.750, 0.077, 0.155]]}

***

{"formula": "Li2MgGa", "functional": "r2SCAN", "state": "optimized geometry", "ef_mev_per_atom": -257, "space_group": "F-43m", "magnetic_moment_mub_per_fu": 0.0, "lattice": [[3.951, 0.372, 2.282], [0.105, -0.696, 4.523], [2.026, -3.739, 1.694]], "species": ["Li", "Li", "Mg", "Ga"], "fractional_positions": [[0.500, 0.500, 0.500], [0.250, 0.250, 0.250], [0.750, 0.750, 0.750], [0.000, 0.000, 0.000]]}

***

{"formula": "Li3GaN2", "functional": "r2SCAN", "state": "optimized geometry", "ef_mev_per_atom": -705, "space_group": "Ia-3", "magnetic_moment_mub_per_fu": 0.0, "lattice": [[-2.930, 2.299, 7.403], [0.560, 6.637, -4.931], [-5.134, -5.544, -3.403]], "species": ["Li", "Li", "Li", "Li", "Li", "Li", "Li", "Li", "Li", "Li", "Li", "Li", "Li", "Li", "Li", "Li", "Li", "Li", "Li", "Li", "Li", "Li", "Li", "Li", "Ga", "Ga", "Ga", "Ga", "Ga", "Ga", "Ga", "Ga", "N", "N", "N", "N", "N", "N", "N", "N", "N", "N", "N", "N", "N", "N", "N", "N"], "fractional_positions": [[0.739, 0.763, 0.231], [0.032, 0.508, 0.269], [0.761, 0.992, 0.024], [0.269, 0.032, 0.508], [0.763, 0.231, 0.739], [0.737, 0.476, 0.468], [0.476, 0.468, 0.737], [0.508, 0.269, 0.032], [0.024, 0.761, 0.992], [0.992, 0.024, 0.761], [0.231, 0.739, 0.763], [0.468, 0.737, 0.476], [0.261, 0.237, 0.769], [0.968, 0.492, 0.731], [0.239, 0.008, 0.976], [0.731, 0.968, 0.492], [0.237, 0.769, 0.261], [0.263, 0.524, 0.532], [0.524, 0.532, 0.263], [0.532, 0.263, 0.524], [0.976, 0.239, 0.008], [0.008, 0.976, 0.239], [0.769, 0.261, 0.237], [0.492, 0.731, 0.968], [0.500, 0.000, 0.236], [0.000, 0.236, 0.500], [0.264, 0.264, 0.264], [0.236, 0.500, 0.000], [0.500, 0.000, 0.764], [0.000, 0.764, 0.500], [0.736, 0.736, 0.736], [0.764, 0.500, 0.000], [0.772, 0.522, 0.250], [0.000, 0.000, 0.500], [0.500, 0.500, 0.500], [0.000, 0.500, 0.000], [0.478, 0.750, 0.228], [0.228, 0.478, 0.750], [0.250, 0.272, 0.022], [0.272, 0.022, 0.250], [0.978, 0.750, 0.728], [0.250, 0.772, 0.522], [0.728, 0.978, 0.750], [0.750, 0.728, 0.978], [0.750, 0.228, 0.478], [0.522, 0.250, 0.772], [0.022, 0.250, 0.272], [0.500, 0.000, 0.000]]}

***

{"formula": "LiNd2Ga", "functional": "r2SCAN", "state": "optimized geometry", "ef_mev_per_atom": -339, "space_group": "Fm-3m", "magnetic_moment_mub_per_fu": 0.0, "lattice": [[0.000, 3.718, 3.718], [3.718, 0.000, 3.718], [3.718, 3.718, 0.000]], "species": ["Li", "Nd", "Nd", "Ga"], "fractional_positions": [[0.750, 0.750, 0.750], [0.000, 0.000, 0.000], [0.500, 0.500, 0.500], [0.250, 0.250, 0.250]]}

***

{"formula": "LiGaNi2", "functional": "r2SCAN", "state": "optimized geometry", "ef_mev_per_atom": -312, "space_group": "Fm-3m", "magnetic_moment_mub_per_fu": 0.0, "lattice": [[-2.729, -2.571, 1.330], [-3.727, 1.222, 0.665], [-2.942, -1.195, -2.396]], "species": ["Li", "Ga", "Ni", "Ni"], "fractional_positions": [[0.750, 0.750, 0.750], [0.250, 0.250, 0.250], [0.000, 0.000, 0.000], [0.500, 0.500, 0.500]]}

***

{"formula": "LiGaO2", "functional": "r2SCAN", "state": "optimized geometry", "ef_mev_per_atom": -2234, "space_group": "Pna2_1", "magnetic_moment_mub_per_fu": 0.0, "lattice": [[-3.127, 3.611, -1.497], [-4.178, -2.805, 1.962], [0.677, 2.910, 5.604]], "species": ["Li", "Li", "Li", "Li", "Ga", "Ga", "Ga", "Ga", "O", "O", "O", "O", "O", "O", "O", "O"], "fractional_positions": [[0.999, 0.582, 0.876], [0.499, 0.918, 0.376], [0.999, 0.082, 0.624], [0.499, 0.418, 0.124], [0.004, 0.582, 0.374], [0.504, 0.418, 0.626], [0.504, 0.918, 0.874], [0.004, 0.082, 0.126], [0.375, 0.071, 0.114], [0.375, 0.571, 0.386], [0.875, 0.929, 0.886], [0.875, 0.429, 0.614], [0.894, 0.409, 0.137], [0.394, 0.591, 0.863], [0.394, 0.091, 0.637], [0.894, 0.909, 0.363]]}

***

{"formula": "LiGa2Pd", "functional": "r2SCAN", "state": "optimized geometry", "ef_mev_per_atom": -534, "space_group": "Fm-3m", "magnetic_moment_mub_per_fu": 0.0, "lattice": [[-3.895, 0.457, 1.822], [-0.336, 1.546, 4.024], [-1.623, 3.952, 0.670]], "species": ["Li", "Ga", "Ga", "Pd"], "fractional_positions": [[0.500, 0.500, 0.500], [0.250, 0.250, 0.250], [0.750, 0.750, 0.750], [0.000, 0.000, 0.000]]}

***

{"formula": "LiPm2Ga", "functional": "r2SCAN", "state": "optimized geometry", "ef_mev_per_atom": -351, "space_group": "Fm-3m", "magnetic_moment_mub_per_fu": 0.0, "lattice": [[-1.777, -4.902, 0.279], [0.271, -2.623, 4.507], [-4.359, -1.049, 2.676]], "species": ["Li", "Pm", "Pm", "Ga"], "fractional_positions": [[0.750, 0.750, 0.750], [0.000, 0.000, 0.000], [0.500, 0.500, 0.500], [0.250, 0.250, 0.250]]}

***

| no. | density (g/cm3) |
| --- | --- |
| 1 | 9.27 |
| 2 | 8.16 |
| 3 | 5.57 |
| 4 | 5.85 |
| 5 | 6.47 |
| 6 | 5.57 |
| 7 | 4.84 |
| 8 | 4.93 |
| 9 | 3.93 |
| 10 | 3.62 |
| 11 | 5.53 |
| 12 | 4.35 |
| 13 | 3.07 |
| 14 | 2.64 |
| 15 | 3.59 |
| 16 | 5.90 |
| 17 | 7.24 |
| 18 | 4.20 |
| 19 | 7.34 |
| 20 | 6.05 |